The following is a PBE calculation of a geometry-optimized Nd2Co19Si3 structure, from Materials Project.

Cell: 7.5452 7.5452 6.2762 Å, 65.72 65.72 80.69°
Atoms (fractional coordinates):
Si  0.5000  0.0000  0.5000
Si  0.0000  0.5000  0.5000
Si  0.0000  0.0000  0.5000
Co  0.6705  0.4185  0.6421
Co  0.0790  0.6698  0.6895
Co  0.4185  0.6705  0.6421
Co  0.3302  0.9210  0.3105
Co  0.2524  0.2524  0.3744
Co  0.8326  0.4194  0.9373
Co  0.6698  0.0790  0.6895
Co  0.4194  0.8326  0.9373
Co  0.9210  0.3302  0.3105
Co  0.7476  0.7476  0.6256
Co  0.5815  0.3295  0.3579
Co  0.0802  0.8314  0.2306
Co  0.8314  0.0802  0.2306
Co  0.9198  0.1686  0.7694
Co  0.1686  0.9198  0.7694
Co  0.5806  0.1674  0.0627
Co  0.3295  0.5815  0.3579
Co  0.1674  0.5806  0.0627
Co  0.5000  0.5000  0.0000
Nd  0.7481  0.7481  0.1267
Nd  0.2519  0.2519  0.8733

## Properties
Formation energy from the elements in meV/atom: -208
Total energy after the MP2020 corrections in eV for the cell shown: -165.86